A plane-wave DFT calculation with meta-GGA r2SCAN was carried out for a relaxed structure of Eu2Mg.

Structure (extended XYZ):
```
6
Lattice="6.3805 -1.9405 0.0000 6.3805 1.9405 0.0000 -3.5882 0.0000 8.7094" Properties=species:S:1:pos:R:3 pbc="T T T"
Eu -0.6170 0.0000 1.8244
Eu 2.8705 0.0000 3.5487
Eu 6.3023 0.0000 5.1607
Eu 9.7898 0.0000 6.8851
Mg 0.6069 0.0000 8.0094
Mg 8.5659 0.0000 0.7000
```

Properties
DFT formation energy	-3.4	kJ per mole of atoms
V	35.95	Å³ per atom
E_tot	-27.106	eV/atom